Version P
Here is Mn2ZnO4 after structural relaxation from Materials Project. Energies are from PBE+U.

Output
Crystal system   monoclinic
Space-group type   Cm, No. 8

Structure (extended XYZ):
```
42
Lattice="2.932 5.494 0.000 -2.932 5.494 0.000 0.000 1.523 14.853" Properties=species:S:1:pos:R:3 pbc="T T T"
Mn -1.462 5.896 12.381
Mn 0.000 8.615 12.370
Mn 1.466 3.509 7.427
Mn 1.462 5.896 12.381
Mn 0.000 10.187 9.903
Mn 0.000 0.762 7.433
Mn 1.467 6.610 2.465
Mn -1.466 3.509 7.427
Mn -1.467 6.610 2.465
Mn 0.000 2.312 4.955
Mn 0.000 3.902 2.499
Mn 0.000 9.231 0.652
Zn 0.000 3.292 14.169
Zn 0.000 6.448 9.277
Zn 0.000 7.021 14.837
Zn 0.000 9.565 4.317
Zn 0.000 2.929 10.544
Zn 0.000 6.064 5.587
O 0.000 5.205 13.509
O 0.000 6.621 11.273
O -1.359 7.793 13.487
O 1.359 7.793 13.487
O -1.319 9.455 11.151
O 0.000 8.332 8.557
O 1.319 9.455 11.151
O 0.000 10.599 13.444
O 1.613 5.432 8.631
O 0.000 9.734 6.328
O 0.000 12.018 11.221
O -1.613 5.432 8.631
O 1.617 7.075 6.219
O 0.000 0.480 3.621
O -1.617 7.075 6.219
O 0.000 2.775 8.520
O 0.000 1.905 1.379
O -1.322 3.027 3.689
O 0.000 4.173 6.285
O 1.322 3.027 3.689
O -1.345 4.752 1.393
O 0.000 5.900 3.588
O 1.345 4.752 1.393
O 0.000 7.307 1.377
```

Version Q
Here is Mn2ZnO4 after structural relaxation from Materials Project. Energies are from PBE+U.

Output
Crystal system   tetragonal
Space-group type   I4_1/a, No. 88

Structure (extended XYZ):
```
14
Lattice="-3.899 3.507 2.968 1.320 4.363 -3.942 -1.921 -5.308 -2.108" Properties=species:S:1:pos:R:3 pbc="T T T"
Mn -2.738 -2.121 -0.961
Mn -1.117 2.715 -1.878
Mn -3.067 4.468 -0.394
Mn -2.078 0.061 -2.932
Zn -3.555 1.067 0.187
Zn 0.000 0.000 0.000
O -0.642 0.458 -4.593
O -2.601 1.916 -3.341
O 0.142 2.806 -3.410
O -1.554 4.630 -2.026
O -2.377 2.623 -0.346
O -1.555 -1.794 -2.522
O -0.681 0.799 -1.729
O -3.514 -0.336 -1.270
```

Winner for stability: version Q